[1]
Material: MgTe4Mo2WS2
Method: DFT, PBE-GGA
State: relaxed

Results
Formation energy = -372 meV/atom
Total magnetization = 0.01 μB/f.u.
Total DFT energy (no corrections) = -5.981 eV per atom
Relative energy among the computed polymorphs = 0.0348 eV/atom

Cell: 3.4057 3.4057 31.6761 Å, 90.00 90.00 60.00°
Last column: nearest neighbours and their distance in Å.
Fractional coordinates of all 10 atoms:
Mg 0.0000 0.0000 0.0000  6 Mg 3.41
Te 0.3526 0.3526 0.2106  3 Mo 2.71
Te 0.3526 0.3526 0.3286  3 Mo 2.71
Te 0.3526 0.3526 0.6732  3 Mo 2.71
Te 0.3526 0.3526 0.7913  3 Mo 2.71
Mo 0.6859 0.6859 0.2696  6 Te 2.71
Mo 0.6859 0.6859 0.7323  6 Te 2.71
W 0.3526 0.3526 0.5009  6 S 2.47-2.48
S 0.6859 0.6859 0.4535  3 W 2.48
S 0.6859 0.6859 0.5484  3 W 2.47-2.48


[2]
Material: MgTe4Mo2WS2
Method: DFT, PBE-GGA
State: relaxed

Results
Formation energy = -331 meV/atom
Total magnetization = 0.02 μB/f.u.
Total DFT energy (no corrections) = -5.940 eV per atom
Relative energy among the computed polymorphs = 0.0758 eV/atom

Cell: 3.4117 3.4118 31.6384 Å, 90.00 90.00 60.00°
Last column: nearest neighbours and their distance in Å.
Fractional coordinates of all 10 atoms:
Mg 0.0000 0.0000 0.0000  6 Mg 3.41
Te 0.0298 0.0078 0.2111  3 W 2.72
Te 0.0298 0.0078 0.3297  3 W 2.72
Te 0.0298 0.0078 0.6740  3 Mo 2.72
Te 0.0298 0.0078 0.7920  3 Mo 2.71
Mo 0.0299 0.0077 0.5017  6 S 2.47
Mo 0.6965 0.6744 0.7331  6 Te 2.71-2.72
W 0.6965 0.6744 0.2703  6 Te 2.72
S 0.6965 0.6744 0.4544  3 Mo 2.47
S 0.6965 0.6744 0.5490  3 Mo 2.47


[3]
Material: MgTe4Mo2WS2
Method: DFT, PBE-GGA
State: relaxed

Results
Formation energy = -397 meV/atom
Total magnetization = 0.01 μB/f.u.
Total DFT energy (no corrections) = -6.006 eV per atom
Relative energy among the computed polymorphs = 0.0098 eV/atom

Cell: 3.4116 3.4116 38.0597 Å, 90.00 90.00 120.00°
Last column: nearest neighbours and their distance in Å.
Fractional coordinates of all 10 atoms:
Mg 0.0000 0.0000 0.0000  6 Mg 3.41, 3 Te 3.47, 3 S 3.71
Te 0.6667 0.3333 0.2946  3 Mo 2.71
Te 0.6667 0.3333 0.3928  3 Mo 2.71
Te 0.6667 0.3333 0.8264  3 Mo 2.71
Te 0.6667 0.3333 0.9250  3 Mo 2.73
Mo 0.3333 0.6667 0.3437  6 Te 2.71
Mo 0.3333 0.6667 0.8754  6 Te 2.71-2.73
W 0.6667 0.3333 0.1221  6 S 2.47-2.48
S 0.3333 0.6667 0.0826  3 W 2.48
S 0.3333 0.6667 0.1614  3 W 2.47


[4]
Material: MgTe2Mo2WS4
Method: DFT, PBE-GGA
State: relaxed

Results
Formation energy = -685 meV/atom
Total magnetization = 0.00 μB/f.u.
Total DFT energy (no corrections) = -6.392 eV per atom
Relative energy among the computed polymorphs = 0.0107 eV/atom

Cell: 3.2999 3.2999 36.2202 Å, 90.25 90.25 59.96°
Last column: nearest neighbours and their distance in Å.
Fractional coordinates of all 10 atoms:
Mg 0.0000 0.0000 0.0000  3 S 3.12-3.15, 6 Mg 3.30
Te 0.6661 0.6661 0.6084  3 Mo 2.70
Te 0.6692 0.6692 0.7142  3 Mo 2.70
Mo 0.3345 0.3345 0.6613  6 Te 2.70
Mo 0.6688 0.6688 0.8881  6 S 2.43-2.47
W 0.3344 0.3344 0.1330  6 S 2.44-2.45
S 0.3340 0.3340 0.8463  3 Mo 2.43-2.44
S 0.3371 0.3371 0.9313  3 Mo 2.46-2.47
S 0.6662 0.6662 0.0905  3 W 2.45
S 0.6688 0.6688 0.1753  3 W 2.44-2.45